This record from Materials Project describes a geometry-optimized PrInPd structure. The functional is meta-GGA r2SCAN.

a = 7.826 Å, b = 7.826 Å, c = 4.001 Å
α = 90.00°, β = 90.00°, γ = 120.00°
Fractional coordinates of all 9 atoms:
Pr: 0.000 0.587 0.000
Pr: 0.413 0.413 0.000
Pr: 0.587 0.000 0.000
In: 0.000 0.251 0.500
In: 0.251 0.000 0.500
In: 0.749 0.749 0.500
Pd: 0.000 0.000 0.000
Pd: 0.333 0.667 0.500
Pd: 0.667 0.333 0.500

Properties
Space group: P-62m, No. 189

=====

This record from Materials Project describes a geometry-optimized In2Pd8Se structure. The functional is meta-GGA r2SCAN.

a = 4.032 Å, b = 4.032 Å, c = 11.067 Å
α = 90.00°, β = 90.00°, γ = 90.00°
Fractional coordinates of all 11 atoms:
In: 0.000 0.000 0.177
In: 0.000 0.000 0.823
Pd: 0.000 0.500 0.000
Pd: 0.000 0.500 0.359
Pd: 0.000 0.500 0.641
Pd: 0.500 0.000 0.000
Pd: 0.500 0.000 0.359
Pd: 0.500 0.000 0.641
Pd: 0.500 0.500 0.180
Pd: 0.500 0.500 0.820
Se: 0.500 0.500 0.500

Properties
Space group: P4/mmm, No. 123

=====

Formation enthalpy at 0 K for the records above, in order: -854; -438 meV per atom
Calculated volume for the records above, in order: 212.2; 179.9 Å³ per cell